A plane-wave DFT calculation with PBE-GGA was carried out for crystalline Ca2Dy3Sb3O14 at its relaxed geometry.

Unit cell a=7.4862 b=7.4862 c=10.4941 alpha=88.76 beta=88.76 gamma=90.36
Fractional coordinates of all 44 atoms:
O  0.0861  0.7497  0.9841
O  0.6937  0.4487  0.3745
O  0.0673  0.4883  0.8151
O  0.2503  0.9139  0.5159
O  0.2450  0.4333  0.0580
O  0.5117  0.9327  0.6849
O  0.1853  0.0410  0.8594
O  0.7497  0.0861  0.4841
O  0.4487  0.6937  0.8745
O  0.3037  0.4993  0.3705
O  0.5007  0.6963  0.1295
O  0.5667  0.7550  0.4420
O  0.4883  0.0673  0.3151
O  0.9139  0.2503  0.0159
O  0.3063  0.5513  0.6255
O  0.9590  0.8147  0.6406
O  0.7961  0.9744  0.8790
O  0.0256  0.2039  0.6210
O  0.8147  0.9590  0.1406
O  0.6963  0.5007  0.6295
O  0.7550  0.5667  0.9420
O  0.9327  0.5117  0.1849
O  0.2039  0.0256  0.1210
O  0.0410  0.1853  0.3594
O  0.9744  0.7961  0.3790
O  0.5513  0.3063  0.1255
O  0.4333  0.2450  0.5580
O  0.4993  0.3037  0.8705
Dy  0.2840  0.2612  0.2413
Dy  0.7759  0.2241  0.2500
Dy  0.7388  0.7160  0.2587
Dy  0.2612  0.2840  0.7413
Dy  0.2241  0.7759  0.7500
Dy  0.7160  0.7388  0.7587
Sb  0.5000  0.5000  0.5000
Sb  0.0000  0.5000  0.0000
Sb  0.5000  0.0000  0.5000
Sb  0.0000  0.0000  0.5000
Sb  0.5000  0.5000  0.0000
Sb  0.0000  0.0000  0.0000
Ca  0.7613  0.2387  0.7500
Ca  0.5000  0.0000  0.0000
Ca  0.2387  0.7613  0.2500
Ca  0.0000  0.5000  0.5000

Values from the calculation:
- M_tot: 0.00 μB/cell
- Corrected total energy (MP2020 scheme): -7.497 eV per atom
- Density: 6.54 g/cm³
- ΔE_f: -2.975 eV per atom